VASP calculation (PBE+U) on a relaxed structure of Fe2C9O8F2. Values from VASP.

Geometry as Quantum ESPRESSO input:
```
&SYSTEM
  ibrav = 0, nat = 42, ntyp = 4
/
ATOMIC_SPECIES
F 19.00 F.upf
C 12.01 C.upf
O 16.00 O.upf
Fe 55.84 Fe.upf
ATOMIC_POSITIONS angstrom
F -4.6636 1.8841 10.0246
F -9.7937 -1.9641 1.4265
F -2.5886 2.4842 10.0061
F -7.7187 -1.3640 1.4081
C -2.6268 3.7711 7.0438
C -8.1147 -3.7284 6.4295
C -1.7232 0.0401 1.0931
C -9.6979 1.8006 8.2102
C -4.2676 4.2485 5.0032
C -3.3502 1.1384 7.0209
C -4.2369 -0.6869 1.1154
C -7.0157 -2.4587 4.3645
C -10.6591 0.4800 10.3396
C -9.0321 -0.6184 4.4118
C -8.1454 1.2070 10.3172
C -2.3430 2.3447 4.8368
C -5.3666 2.9788 7.0681
C -2.6844 -1.2805 3.2224
C -10.0393 -1.8246 6.5958
C -7.5008 -1.0905 6.5733
C -4.8815 1.6106 4.8594
C -9.7554 -3.2510 4.3889
O -11.9293 1.8749 4.7724
O -6.8282 -0.4830 7.2915
O -10.8473 -3.3592 3.9654
O -9.3042 0.3027 3.7662
O -1.4619 2.1866 4.1048
O -9.6477 1.5921 7.0738
O -6.0417 -1.9694 3.9227
O -0.4530 -1.3548 6.6602
O -6.3406 2.4895 7.5099
O -7.9073 3.0381 4.7367
O -2.7346 -1.0720 4.3589
O -3.0781 0.2174 7.6664
O -10.9204 -1.6665 7.3279
O -5.5541 1.0031 4.1411
O -1.5350 3.8793 7.4672
O -4.4750 -2.5180 6.6960
Fe -4.3919 4.7382 6.9503
Fe -8.6183 -2.0156 5.5050
Fe -3.7640 2.5356 5.9277
Fe -7.9904 -4.2181 4.4823
CELL_PARAMETERS angstrom
-11.3807 -3.2913 0.1011
0.7455 -2.3998 5.7923
-1.7471 6.2112 5.5393
```

Properties
Final energy (eV/atom): -7.03
Total magnetic moment (μB per formula unit): 0.0
DFT formation energy (eV/atom): -0.72